DFT (meta-GGA r2SCAN) results for DyB2C2 after structural relaxation.

a = 5.3301 Å, b = 5.3301 Å, c = 3.5720 Å
α = 90.00°, β = 90.00°, γ = 90.00°
With the nearest neighbours (Å) after each atom.
Sites, in units of the cell vectors:
Dy1 0.0000 0.0000 0.0000  8 C 2.68, 8 B 2.73
Dy2 0.5000 0.5000 0.0000  8 C 2.68, 8 B 2.73
B1 0.1364 0.3636 0.5000  3 C 1.52-1.60
B2 0.3636 0.8636 0.5000  3 C 1.52-1.60
B3 0.6364 0.1364 0.5000  3 C 1.52-1.60
B4 0.8636 0.6364 0.5000  3 C 1.52-1.60
C1 0.1623 0.6623 0.5000  3 B 1.52-1.60
C2 0.3377 0.1623 0.5000  3 B 1.52-1.60
C3 0.6623 0.8377 0.5000  3 B 1.52-1.60
C4 0.8377 0.3377 0.5000  3 B 1.52-1.60

## Properties
Formation energy in eV per atom: -0.546
Total DFT energy (no corrections) in eV per atom: -13.859



DFT (meta-GGA r2SCAN) results for Te3Pd13 after structural relaxation.

a = 9.0540 Å, b = 9.0540 Å, c = 9.0540 Å
α = 60.00°, β = 60.00°, γ = 60.00°
With the nearest neighbours (Å) after each atom.
Sites, in units of the cell vectors:
Te1 0.0000 0.0000 0.0000  8 Pd 2.68-2.77
Te2 0.0000 0.0000 0.5000  8 Pd 2.68-2.77
Te3 0.0000 0.5000 0.0000  8 Pd 2.68-2.77
Te4 0.3750 0.3750 0.3750  8 Pd 2.53-2.77
Te5 0.5000 0.0000 0.0000  8 Pd 2.68-2.77
Te6 0.6250 0.6250 0.6250  8 Pd 2.53-2.77
Pd1 0.0000 0.5000 0.5000  2 Te 2.77, 12 Pd 2.87-3.07
Pd2 0.1124 0.1124 0.6376  2 Te 2.68, 6 Pd 2.78-2.87
Pd3 0.1124 0.6376 0.1124  2 Te 2.68, 6 Pd 2.78-2.87
Pd4 0.1124 0.6376 0.6376  2 Te 2.68, 6 Pd 2.78-2.87
Pd5 0.1250 0.1250 0.1250  4 Te 2.77, 10 Pd 3.01-3.04
Pd6 0.2607 0.2607 0.2607  1 Te 2.53, 6 Pd 2.78-2.81
Pd7 0.2607 0.2607 0.7178  1 Te 2.53, 6 Pd 2.78-2.81
Pd8 0.2607 0.7178 0.2607  1 Te 2.53, 6 Pd 2.78-2.81
Pd9 0.2822 0.7393 0.7393  1 Te 2.53, 6 Pd 2.78-2.81
Pd10 0.3624 0.3624 0.8876  2 Te 2.68, 6 Pd 2.78-2.87
Pd11 0.3624 0.8876 0.3624  2 Te 2.68, 6 Pd 2.78-2.87
Pd12 0.3624 0.8876 0.8876  2 Te 2.68, 6 Pd 2.78-2.87
Pd13 0.5000 0.0000 0.5000  2 Te 2.77, 12 Pd 2.87-3.07
Pd14 0.5000 0.5000 0.0000  2 Te 2.77, 12 Pd 2.87-3.07
Pd15 0.5000 0.5000 0.5000  2 Te 2.77, 12 Pd 2.87-3.07
Pd16 0.6376 0.1124 0.1124  2 Te 2.68, 6 Pd 2.78-2.87
Pd17 0.6376 0.1124 0.6376  2 Te 2.68, 6 Pd 2.78-2.87
Pd18 0.6376 0.6376 0.1124  2 Te 2.68, 6 Pd 2.78-2.87
Pd19 0.7178 0.2607 0.2607  1 Te 2.53, 6 Pd 2.78-2.81
Pd20 0.7393 0.2822 0.7393  1 Te 2.53, 6 Pd 2.78-2.81
Pd21 0.7393 0.7393 0.2822  1 Te 2.53, 6 Pd 2.78-2.81
Pd22 0.7393 0.7393 0.7393  1 Te 2.53, 6 Pd 2.78-2.81
Pd23 0.8750 0.8750 0.8750  4 Te 2.77, 10 Pd 3.01-3.04
Pd24 0.8876 0.3624 0.3624  2 Te 2.68, 6 Pd 2.78-2.87
Pd25 0.8876 0.3624 0.8876  2 Te 2.68, 6 Pd 2.78-2.87
Pd26 0.8876 0.8876 0.3624  2 Te 2.68, 6 Pd 2.78-2.87

## Properties
Formation energy in eV per atom: -0.213
Total DFT energy (no corrections) in eV per atom: -23.634



DFT (meta-GGA r2SCAN) results for Lu7Sb3 after structural relaxation.

a = 11.9298 Å, b = 11.9298 Å, c = 8.7702 Å
α = 111.56°, β = 111.56°, γ = 82.24°
With the nearest neighbours (Å) after each atom.
Sites, in units of the cell vectors:
Lu1 0.0001 0.9999 0.2500  12 Lu 3.39-3.68
Lu2 0.9999 0.0001 0.7500  12 Lu 3.39-3.68
Lu3 0.0001 0.3283 0.4707  2 Sb 2.96-3.08, 1 Lu 3.31
Lu4 0.0000 0.3283 0.8579  2 Sb 2.96-3.08
Lu5 0.0000 0.6717 0.1421  2 Sb 2.96-3.08
Lu6 0.9999 0.6717 0.5293  2 Sb 2.96-3.08, 1 Lu 3.31
Lu7 0.1469 0.1815 0.1644  3 Sb 3.10-3.30, 5 Lu 3.26-3.40
Lu8 0.1468 0.8186 0.9825  3 Sb 3.11-3.30, 5 Lu 3.26-3.39
Lu9 0.1815 0.1469 0.6644  3 Sb 3.10-3.30, 5 Lu 3.26-3.40
Lu10 0.1814 0.8532 0.5175  3 Sb 3.11-3.30, 5 Lu 3.26-3.39
Lu11 0.2585 0.4928 0.8759  5 Sb 2.96-3.19
Lu12 0.2587 0.5074 0.3830  5 Sb 2.97-3.19
Lu13 0.3283 0.0000 0.3579  2 Sb 2.96-3.08
Lu14 0.3283 0.0001 0.9707  2 Sb 2.96-3.08, 1 Lu 3.31
Lu15 0.4928 0.2585 0.3759  5 Sb 2.96-3.19
Lu16 0.4926 0.7413 0.1170  5 Sb 2.97-3.19
Lu17 0.5000 0.5000 0.2500  4 Sb 3.09
Lu18 0.5000 0.5000 0.7500  4 Sb 3.09
Lu19 0.5074 0.2587 0.8830  5 Sb 2.97-3.19
Lu20 0.5072 0.7415 0.6241  5 Sb 2.96-3.19
Lu21 0.6717 0.9999 0.0293  2 Sb 2.96-3.08, 1 Lu 3.31
Lu22 0.6717 0.0000 0.6421  2 Sb 2.96-3.08
Lu23 0.7413 0.4926 0.6170  5 Sb 2.97-3.19
Lu24 0.7415 0.5072 0.1241  5 Sb 2.96-3.19
Lu25 0.8186 0.1468 0.4825  3 Sb 3.11-3.30, 5 Lu 3.26-3.39
Lu26 0.8185 0.8531 0.3356  3 Sb 3.10-3.30, 5 Lu 3.26-3.40
Lu27 0.8532 0.1814 0.0175  3 Sb 3.11-3.30, 5 Lu 3.26-3.39
Lu28 0.8531 0.8185 0.8356  3 Sb 3.10-3.30, 5 Lu 3.26-3.40
Sb1 0.0001 0.4399 0.2200  8 Lu 2.96-3.30
Sb2 0.9999 0.5601 0.7800  8 Lu 2.96-3.30
Sb3 0.3034 0.3034 0.0538  9 Lu 3.08-3.41
Sb4 0.3034 0.3034 0.5538  9 Lu 3.08-3.41
Sb5 0.3030 0.6970 0.2500  9 Lu 3.08-3.41
Sb6 0.3033 0.6967 0.7500  9 Lu 3.08-3.41
Sb7 0.4399 0.0001 0.7200  8 Lu 2.96-3.30
Sb8 0.5601 0.9999 0.2800  8 Lu 2.96-3.30
Sb9 0.6967 0.3033 0.2500  9 Lu 3.08-3.41
Sb10 0.6970 0.3030 0.7500  9 Lu 3.08-3.41
Sb11 0.6966 0.6966 0.4462  9 Lu 3.08-3.41
Sb12 0.6966 0.6966 0.9462  9 Lu 3.08-3.41

## Properties
Formation energy in eV per atom: -0.768
Total DFT energy (no corrections) in eV per atom: -35.136



DFT (meta-GGA r2SCAN) results for TaRu after structural relaxation.

a = 3.0410 Å, b = 3.0410 Å, c = 3.4098 Å
α = 90.00°, β = 90.00°, γ = 90.00°
With the nearest neighbours (Å) after each atom.
Sites, in units of the cell vectors:
Ta1 0.0000 0.0000 0.0000  8 Ru 2.74, 4 Ta 3.04
Ru1 0.5000 0.5000 0.5000  8 Ta 2.74, 4 Ru 3.04

## Properties
Formation energy in eV per atom: -0.346
Total DFT energy (no corrections) in eV per atom: -37.354



DFT (meta-GGA r2SCAN) results for Rb3GaF6 after structural relaxation.

a = 6.3614 Å, b = 6.3614 Å, c = 6.3614 Å
α = 60.00°, β = 60.00°, γ = 60.00°
With the nearest neighbours (Å) after each atom.
Sites, in units of the cell vectors:
Rb1 0.0000 0.0000 0.0000  6 F 2.60
Rb2 0.2500 0.2500 0.2500  12 F 3.20
Rb3 0.7500 0.7500 0.7500  12 F 3.20
Ga1 0.5000 0.5000 0.5000  6 F 1.90
F1 0.2888 0.2888 0.7112  1 Ga 1.90
F2 0.2888 0.7112 0.2888  1 Ga 1.90
F3 0.2888 0.7112 0.7112  1 Ga 1.90
F4 0.7112 0.2888 0.2888  1 Ga 1.90
F5 0.7112 0.2888 0.7112  1 Ga 1.90
F6 0.7112 0.7112 0.2888  1 Ga 1.90

## Properties
Formation energy in eV per atom: -3.001
Total DFT energy (no corrections) in eV per atom: -10.200



DFT (meta-GGA r2SCAN) results for PrNi12B6 after structural relaxation.

a = 6.0042 Å, b = 6.0042 Å, c = 10.9893 Å
α = 90.00°, β = 90.00°, γ = 75.31°
With the nearest neighbours (Å) after each atom.
Sites, in units of the cell vectors:
Pr1 0.1670 0.8330 0.5000  6 B 3.03-3.27, 18 Ni 3.05-3.37
Pr2 0.8330 0.1670 0.0000  6 B 3.03-3.27, 18 Ni 3.05-3.37
Ni1 0.0069 0.6294 0.9387  4 B 2.01-2.11
Ni2 0.1206 0.1468 0.7572  3 B 2.01-2.09
Ni3 0.1468 0.1206 0.2572  3 B 2.01-2.09
Ni4 0.1954 0.5393 0.7367  4 B 1.98-2.08
Ni5 0.2103 0.5255 0.2758  3 B 2.04-2.12
Ni6 0.2235 0.7765 0.1008  3 B 1.99-2.05
Ni7 0.2754 0.3432 0.0686  4 B 2.01-2.10
Ni8 0.3432 0.2754 0.5686  4 B 2.01-2.10
Ni9 0.3706 0.9931 0.9387  4 B 2.01-2.11
Ni10 0.4305 0.5695 0.9176  3 B 2.07-2.16
Ni11 0.4607 0.8046 0.7367  4 B 1.98-2.08
Ni12 0.4745 0.7897 0.2758  3 B 2.04-2.12
Ni13 0.5255 0.2103 0.7758  3 B 2.04-2.12
Ni14 0.5393 0.1954 0.2367  4 B 1.98-2.08
Ni15 0.5695 0.4305 0.4176  3 B 2.07-2.16
Ni16 0.6294 0.0069 0.4387  4 B 2.01-2.11
Ni17 0.6568 0.7246 0.0686  4 B 2.01-2.10
Ni18 0.7246 0.6568 0.5686  4 B 2.01-2.10
Ni19 0.7765 0.2235 0.6008  3 B 1.99-2.05
Ni20 0.7897 0.4745 0.7758  3 B 2.04-2.12
Ni21 0.8046 0.4607 0.2367  4 B 1.98-2.08
Ni22 0.8532 0.8794 0.7572  3 B 2.01-2.09
Ni23 0.8794 0.8532 0.2572  3 B 2.01-2.09
Ni24 0.9931 0.3706 0.4387  4 B 2.01-2.11
B1 0.0134 0.3987 0.6232  7 Ni 1.98-2.12
B2 0.1638 0.8362 0.8344  7 Ni 2.01-2.16
B3 0.2489 0.3232 0.8872  7 Ni 2.01-2.11
B4 0.3232 0.2489 0.3872  7 Ni 2.01-2.11
B5 0.3987 0.0134 0.1232  7 Ni 1.98-2.12
B6 0.4873 0.5127 0.1612  7 Ni 2.03-2.08
B7 0.5127 0.4873 0.6612  7 Ni 2.03-2.08
B8 0.6013 0.9866 0.6232  7 Ni 1.98-2.12
B9 0.6768 0.7511 0.8872  7 Ni 2.01-2.11
B10 0.7511 0.6768 0.3872  7 Ni 2.01-2.11
B11 0.8362 0.1638 0.3344  7 Ni 2.01-2.16
B12 0.9866 0.6013 0.1232  7 Ni 1.98-2.12

## Properties
Formation energy in eV per atom: -0.397
Total DFT energy (no corrections) in eV per atom: -11.832



DFT (meta-GGA r2SCAN) results for BaHgO2 after structural relaxation.

a = 6.9323 Å, b = 6.9323 Å, c = 6.9323 Å
α = 34.92°, β = 34.92°, γ = 34.92°
With the nearest neighbours (Å) after each atom.
Sites, in units of the cell vectors:
Ba1 0.0000 0.0000 0.0000  6 O 2.72
Hg1 0.5000 0.5000 0.5000  2 O 1.98
O1 0.3984 0.3984 0.3984  1 Hg 1.98
O2 0.6016 0.6016 0.6016  1 Hg 1.98

## Properties
Formation energy in eV per atom: -1.708
Total DFT energy (no corrections) in eV per atom: -23.661



DFT (meta-GGA r2SCAN) results for P2Rh3 after structural relaxation.

a = 3.3475 Å, b = 3.3475 Å, c = 6.2032 Å
α = 90.00°, β = 90.00°, γ = 90.00°
With the nearest neighbours (Å) after each atom.
Sites, in units of the cell vectors:
P1 0.0000 0.5000 0.2440  7 Rh 2.31-2.47
P2 0.5000 0.0000 0.7560  7 Rh 2.31-2.47
Rh1 0.0000 0.0000 0.5000  4 P 2.31
Rh2 0.0000 0.5000 0.8684  5 P 2.33-2.47
Rh3 0.5000 0.0000 0.1316  5 P 2.33-2.47

## Properties
Formation energy in eV per atom: -0.738
Total DFT energy (no corrections) in eV per atom: -18.821



DFT (meta-GGA r2SCAN) results for V3Sb after structural relaxation.

a = 4.9096 Å, b = 4.9096 Å, c = 4.9096 Å
α = 90.00°, β = 90.00°, γ = 90.00°
With the nearest neighbours (Å) after each atom.
Sites, in units of the cell vectors:
V1 0.0000 0.2500 0.5000  2 V 2.45, 4 Sb 2.74
V2 0.0000 0.7500 0.5000  2 V 2.45, 4 Sb 2.74
V3 0.2500 0.5000 0.0000  2 V 2.45, 4 Sb 2.74
V4 0.5000 0.0000 0.2500  2 V 2.45, 4 Sb 2.74
V5 0.5000 0.0000 0.7500  2 V 2.45, 4 Sb 2.74
V6 0.7500 0.5000 0.0000  2 V 2.45, 4 Sb 2.74
Sb1 0.0000 0.0000 0.0000  12 V 2.74
Sb2 0.5000 0.5000 0.5000  12 V 2.74

## Properties
Formation energy in eV per atom: -0.263
Total DFT energy (no corrections) in eV per atom: -17.257